1.
Here is an optimized crystal structure of RbBrO4 from the Materials Project. Energies are from PBE-GGA.

Results
The magnetization comes out at 0.00 Bohr magnetons per cell. The calculation puts the total energy at -4.117 eV/atom. Its formation enthalpy at 0 K is -19.369 kcal/mol of atoms. The value obtained for the energy with MP2020 corrections is -4.575 eV/atom.

a b c (Å): 5.8150 5.8150 13.8773
angles (deg): 90.00 90.00 90.00
With the nearest neighbours (Å) after each atom.
Space group I4_1/a (No. 88, origin choice 2)
Inequivalent atoms, fractional coordinates:
1 Rb 0.0000 0.2500 0.1250  8 O 3.04-3.10
2 Br 0.0000 0.2500 0.6250  4 O 1.65
3 O 0.0769 0.4703 0.6927  1 Br 1.65

***

2.
Here is an optimized crystal structure of La5Mg from the Materials Project. Energies are from PBE-GGA.

Results
The value obtained for the energy above the lowest structure with this stoichiometry is 3 meV per atom. The calculation puts the total energy at -4.369 eV/atom. Its formation enthalpy at 0 K is 0.250 kcal/mol of atoms.

a b c (Å): 6.4090 6.4090 17.5835
angles (deg): 90.00 90.00 120.00
With the nearest neighbours (Å) after each atom.
Space group R32 (No. 155, hexagonal axes)
Inequivalent atoms, fractional coordinates:
1 La 0.0000 0.0000 0.1680  9 La 3.59-3.70, 3 Mg 3.70
2 La 0.0000 0.6575 0.0000  10 La 3.59-3.80, 2 Mg 3.61
3 Mg 0.0000 0.0000 0.5000  12 La 3.61-3.70

***

3.
Here is an optimized crystal structure of Y2BeO4 from the Materials Project. Energies are from PBE-GGA.

Results
The magnetization comes out at 0.00 Bohr magnetons per cell. The calculation puts the total energy at -8.510 eV/atom. Its formation enthalpy at 0 K is -85.171 kcal/mol of atoms. The value obtained for the energy with MP2020 corrections is -8.903 eV/atom.

a b c (Å): 10.4754 3.5631 10.0265
angles (deg): 90.00 90.00 90.00
With the nearest neighbours (Å) after each atom.
Space group Pnma (No. 62)
Inequivalent atoms, fractional coordinates:
1 Y 0.0904 0.2500 0.1794  6 O 2.23-2.35
2 Y 0.1174 0.2500 0.5878  6 O 2.26-2.38
3 Be 0.1931 0.2500 0.8741  3 O 1.54-1.57
4 O 0.0134 0.2500 0.3864  4 Y 2.23-2.30
5 O 0.0454 0.2500 0.8495  1 Be 1.57
6 O 0.2223 0.7500 0.2459  1 Be 1.56
7 O 0.2477 0.2500 0.0169  1 Be 1.54

***

4.
Here is an optimized crystal structure of PtCl2 from the Materials Project. Energies are from PBE-GGA.

Results
The magnetization comes out at 0.00 Bohr magnetons per cell. The calculation puts the total energy at -3.335 eV/atom. Its formation enthalpy at 0 K is -11.251 kcal/mol of atoms. The value obtained for the energy with MP2020 corrections is -3.744 eV/atom.

a b c (Å): 4.6897 4.7038 7.8013
angles (deg): 100.11 95.53 105.62
With the nearest neighbours (Å) after each atom.
Space group P-1 (No. 2)
Inequivalent atoms, fractional coordinates:
1 Pt 0.2092 0.2818 0.0926  4 Cl 2.27-2.52
2 Cl 0.2171 0.0817 0.3363  1 Pt 2.27
3 Cl 0.2553 0.5604 0.8646  3 Pt 2.38-2.52

***

5.
Here is an optimized crystal structure of YH3 from the Materials Project. Energies are from PBE-GGA.

Results
The magnetization comes out at 0.00 Bohr magnetons per cell. The calculation puts the total energy at -4.757 eV/atom. Its formation enthalpy at 0 K is -16.831 kcal/mol of atoms. The value obtained for the energy with MP2020 corrections is -4.891 eV/atom.

a b c (Å): 6.3436 6.3436 6.6146
angles (deg): 90.00 90.00 120.00
With the nearest neighbours (Å) after each atom.
Space group P-3c1 (No. 165)
Inequivalent atoms, fractional coordinates:
1 Y 0.0000 0.3369 0.2500  9 H 2.14-2.33
2 H 0.0000 0.0000 0.2500  3 Y 2.14, 6 H 2.38
3 H 0.0288 0.3503 0.9079  2 H 2.11-2.33, 3 Y 2.25-2.33
4 H 0.3333 0.6667 0.1854  3 Y 2.15, 3 H 2.33

***

6.
Here is an optimized crystal structure of NdP from the Materials Project. Energies are from PBE-GGA.

Results
The calculation puts the total energy at -6.623 eV/atom. Its formation enthalpy at 0 K is -35.338 kcal/mol of atoms.

a b c (Å): 5.8947 5.8947 5.8947
angles (deg): 90.00 90.00 90.00
With the nearest neighbours (Å) after each atom.
Space group Fm-3m (No. 225)
Inequivalent atoms, fractional coordinates:
1 Nd 0.0000 0.0000 0.0000  6 P 2.95
2 P 0.0000 0.0000 0.5000  6 Nd 2.95